The following is a DFT calculation (PBE) of a geometry-optimized Na7Ti16O32 structure.

Properties
Formation energy   -3.1576 eV per atom
Energy with MP2020 corrections   -0.312 Ha/atom
Calculated density   3.65 g/cm³

Cell lengths 10.633, 10.633, 10.633 Å; angles 131.83, 131.83, 70.49 degrees
Fractional coordinates of all 55 atoms:
Na  0.000  0.000  0.000
Na  0.374  0.374  0.500
Na  0.874  0.874  0.500
Na  0.750  0.250  0.500
Na  0.250  0.750  0.500
Na  0.626  0.126  0.000
Na  0.126  0.626  0.000
Ti  0.069  0.315  0.508
Ti  0.562  0.808  0.492
Ti  0.808  0.562  0.492
Ti  0.315  0.069  0.508
Ti  0.192  0.685  0.754
Ti  0.931  0.438  0.246
Ti  0.685  0.192  0.754
Ti  0.438  0.931  0.246
Ti  0.810  0.562  0.000
Ti  0.062  0.311  0.000
Ti  0.311  0.062  0.000
Ti  0.562  0.810  0.000
Ti  0.438  0.438  0.248
Ti  0.938  0.938  0.249
Ti  0.190  0.190  0.752
Ti  0.689  0.689  0.751
O  0.338  0.840  0.285
O  0.840  0.338  0.285
O  0.053  0.555  0.715
O  0.555  0.053  0.715
O  0.445  0.160  0.498
O  0.947  0.662  0.502
O  0.662  0.947  0.502
O  0.160  0.445  0.498
O  0.216  0.927  0.000
O  0.429  0.713  0.000
O  0.713  0.429  0.000
O  0.927  0.216  0.000
O  0.319  0.819  0.783
O  0.536  0.036  0.217
O  0.036  0.536  0.217
O  0.819  0.319  0.783
O  0.589  0.589  0.781
O  0.808  0.808  0.219
O  0.088  0.088  0.782
O  0.305  0.305  0.218
O  0.411  0.192  0.000
O  0.912  0.695  0.000
O  0.192  0.411  0.000
O  0.695  0.912  0.000
O  0.464  0.681  0.500
O  0.181  0.964  0.500
O  0.681  0.464  0.500
O  0.964  0.181  0.500
O  0.571  0.571  0.284
O  0.287  0.287  0.716
O  0.784  0.784  0.711
O  0.073  0.073  0.289